Density functional theory data (PBE with a Hubbard U) for crystalline Y5Be6Fe3Si6O30 at its relaxed geometry.

Summary:
total DFT energy (no corrections) = -784.629 eV/cell
space group = P1, No. 1

abc: 7.6324 10.0817 14.1900
angles: 90.10 90.05 90.01
Fractional positions:
Y1 0.1097 0.6717 0.6692
Y2 0.6037 0.8290 0.3374
Y3 0.3873 0.1729 0.9962
Y4 0.0986 0.6623 0.9965
Y5 0.4002 0.1671 0.3336
Y6 0.1048 0.6699 0.3326
Y7 0.3995 0.1643 0.6674
Y8 0.8950 0.3308 0.3311
Y9 0.8937 0.3288 0.6710
Y10 0.6046 0.8310 0.9953
Si1 0.7166 0.0787 0.1723
Si2 0.7883 0.5808 0.8397
Si3 0.7756 0.5803 0.5082
Si4 0.2286 0.4171 0.8272
Si5 0.7256 0.0800 0.8399
Si6 0.2752 0.9184 0.1593
Si7 0.7188 0.0828 0.5058
Si8 0.2207 0.4206 0.4938
Si9 0.2799 0.9230 0.8273
Si10 0.2209 0.4245 0.1605
Si11 0.7781 0.5776 0.1709
Si12 0.2763 0.9199 0.4956
O1 0.1840 0.2876 0.8908
O2 0.2915 0.5392 0.5628
O3 0.4078 0.9929 0.7539
O4 0.3983 0.3663 0.7589
O5 0.0727 0.1587 0.7339
O6 0.8931 0.1363 0.2322
O7 0.2072 0.0459 0.5600
O8 0.0843 0.4629 0.7490
O9 0.8443 0.7022 0.4387
O10 0.2947 0.5398 0.8989
O11 0.0875 0.4707 0.4108
O12 0.7939 0.9601 0.1030
O13 0.7084 0.4606 0.4326
O14 0.6629 0.2041 0.7717
O15 0.5699 0.0453 0.5785
O16 0.6073 0.6351 0.8972
O17 0.5860 0.0306 0.9198
O18 0.9118 0.5312 0.2552
O19 0.3892 0.3659 0.0996
O20 0.2068 0.0370 0.2356
O21 0.6094 0.6378 0.2379
O22 0.8962 0.1344 0.9012
O23 0.3231 0.7927 0.5576
O24 0.9545 0.8416 0.5941
O25 0.6960 0.4596 0.1063
O26 0.5841 0.3403 0.2668
O27 0.8353 0.7035 0.1052
O28 0.9135 0.8404 0.2654
O29 0.7988 0.9608 0.7704
O30 0.9204 0.5367 0.9205
O31 0.6659 0.2045 0.4319
O32 0.8924 0.1351 0.5671
O33 0.1544 0.2998 0.2283
O34 0.5490 0.3412 0.9276
O35 0.6009 0.6290 0.5652
O36 0.1166 0.1385 0.0724
O37 0.3024 0.5387 0.2363
O38 0.3837 0.6432 0.7361
O39 0.9159 0.5263 0.5842
O40 0.4192 0.9638 0.0831
O41 0.3502 0.7997 0.8936
O42 0.4139 0.9692 0.4131
O43 0.1062 0.8691 0.4251
O44 0.7069 0.4613 0.7694
O45 0.9065 0.8436 0.9333
O46 0.1990 0.0348 0.9017
O47 0.5943 0.3423 0.5973
O48 0.0810 0.1614 0.3998
O49 0.5903 0.0245 0.2574
O50 0.6283 0.1941 0.1111
O51 0.3947 0.3628 0.4323
O52 0.7941 0.9603 0.4365
O53 0.4293 0.6598 0.0688
O54 0.3416 0.7969 0.2301
O55 0.1493 0.2997 0.5595
O56 0.0884 0.4966 0.0922
O57 0.8639 0.6973 0.7721
O58 0.1039 0.8582 0.1009
O59 0.4172 0.6591 0.4016
O60 0.1081 0.8645 0.7674
Be1 0.9118 0.8382 0.1516
Be2 0.4182 0.6619 0.1799
Be3 0.9078 0.8379 0.8189
Be4 0.0844 0.1605 0.5140
Be5 0.0900 0.1612 0.1784
Be6 0.0818 0.1642 0.8484
Be7 0.4134 0.6642 0.5169
Be8 0.4106 0.6599 0.8453
Be9 0.5919 0.3391 0.4863
Be10 0.5844 0.3390 0.8192
Be11 0.9169 0.8398 0.4876
Be12 0.5851 0.3375 0.1514
Fe1 0.5064 0.5088 0.6684
Fe2 0.5025 0.5011 0.3335
Fe3 0.9997 0.0004 0.3325
Fe4 0.9953 0.0096 0.9965
Fe5 0.5149 0.4972 0.9994
Fe6 0.9827 0.9949 0.6716

=====

Density functional theory data (PBE with a Hubbard U) for crystalline RbMg14CrO16 at its relaxed geometry.

Summary:
space group = Pmmm, No. 47
energy above the lowest structure with this stoichiometry = 0.0 meV per atom

abc: 8.6945 8.7098 4.3982
angles: 90.00 90.00 90.00
Fractional positions:
O1 0.7200 0.0000 0.0000
O2 0.5000 0.2599 0.0000
O3 0.2490 0.2509 0.5000
O4 0.0000 0.2785 0.0000
O5 0.5000 0.5000 0.5000
O6 0.5000 0.0000 0.5000
O7 0.2800 0.0000 0.0000
O8 0.7510 0.2509 0.5000
O9 0.2463 0.5000 0.0000
O10 0.0000 0.0000 0.5000
O11 0.0000 0.7215 0.0000
O12 0.7510 0.7491 0.5000
O13 0.2490 0.7491 0.5000
O14 0.0000 0.5000 0.5000
O15 0.7537 0.5000 0.0000
O16 0.5000 0.7401 0.0000
Mg1 0.7451 0.7504 0.0000
Mg2 0.0000 0.2541 0.5000
Mg3 0.2586 0.0000 0.5000
Mg4 0.7489 0.5000 0.5000
Mg5 0.2549 0.7504 0.0000
Mg6 0.5000 0.0000 0.0000
Mg7 0.7451 0.2496 0.0000
Mg8 0.0000 0.7459 0.5000
Mg9 0.2549 0.2496 0.0000
Mg10 0.5000 0.5000 0.0000
Mg11 0.5000 0.7498 0.5000
Mg12 0.7414 0.0000 0.5000
Mg13 0.2511 0.5000 0.5000
Mg14 0.5000 0.2502 0.5000
Rb1 0.0000 0.0000 0.0000
Cr1 0.0000 0.5000 0.0000

=====

Density functional theory data (PBE with a Hubbard U) for crystalline Er2FeSbO7 at its relaxed geometry.

Summary:
total DFT energy (no corrections) = -161.964 eV/cell
space group = Imma, No. 74

abc: 7.1973 7.1973 7.1973
angles: 120.39 119.21 90.35
Fractional positions:
O1 0.1657 0.4173 0.3304
O2 0.1657 0.8353 0.7484
O3 0.1640 0.4140 0.7500
O4 0.5869 0.8353 0.1696
O5 0.4131 0.5827 0.2484
O6 0.8360 0.5860 0.2500
O7 0.5869 0.4173 0.7516
O8 0.4131 0.1647 0.8304
O9 0.8343 0.5827 0.6696
O10 0.1240 0.8740 0.2500
O11 0.4161 0.1661 0.2500
O12 0.5839 0.8339 0.7500
O13 0.8760 0.1260 0.7500
O14 0.8343 0.1647 0.2516
Sb1 0.0000 0.5000 0.5000
Sb2 0.5000 0.5000 0.0000
Er1 0.0000 0.0000 0.0000
Er2 0.0000 0.0000 0.5000
Er3 0.5000 0.0000 0.5000
Er4 0.0000 0.5000 0.0000
Fe1 0.5000 0.5000 0.5000
Fe2 0.5000 0.0000 0.0000

=====

Number 1: theoretical density 3999 kg/m³. Number 2: theoretical density 3658 kg/m³. Number 3: theoretical density 7840 kg/m³.